KP2Rh2 | GGA-PBE | relaxed

The structure in CIF format:
```
data_KP2Rh2
_cell_length_a 3.946
_cell_length_b 3.946
_cell_length_c 7.178
_cell_angle_alpha 105.96
_cell_angle_beta 105.96
_cell_angle_gamma 90.00
_symmetry_space_group_name_H-M 'P 1'
_symmetry_Int_Tables_number 1
_symmetry_space_group_name_Hall 'P 1'
loop_
_atom_site_label
_atom_site_type_symbol
_atom_site_fract_x
_atom_site_fract_y
_atom_site_fract_z
_atom_site_occupancy
K1 K 0.000 0.000 0.000 1
P1 P 0.654 0.654 0.307 1
P2 P 0.346 0.346 0.693 1
Rh1 Rh 0.250 0.750 0.500 1
Rh2 Rh 0.750 0.250 0.500 1
```

Properties
Energy in eV/atom: -6.069
SG: I4/mmm (139)
Crystal system: tetragonal